--- a ---
# ZnBi38O60

An optimized crystal structure of ZnBi38O60 (PBE, Materials Project).

Cell lengths 14.7032, 14.7032, 8.9992 Å; angles 90.00, 90.00, 120.00 degrees
Fractional coordinates of all 99 atoms:
1 Bi 0.6667 0.3333 0.6626
2 O 0.1211 0.5040 0.7418
3 Bi 0.3333 0.6667 0.3377
4 O 0.0463 0.2105 0.4004
5 O 0.6202 0.6248 0.2643
6 O 0.1985 0.1599 0.5748
7 O 0.9603 0.2896 0.5930
8 Bi 0.6088 0.5564 0.7460
9 Bi 0.9816 0.1471 0.6782
10 O 0.6588 0.9581 0.4136
11 O 0.1642 0.9537 0.4004
12 O 0.1811 0.5912 0.4089
13 O 0.3664 0.3649 0.7506
14 O 0.3293 0.0397 0.5930
15 O 0.6687 0.7176 0.9291
16 O 0.3333 0.6667 0.7045
17 O 0.0000 0.0000 0.7722
18 Bi 0.3689 0.4349 0.2234
19 Bi 0.9476 0.3912 0.7460
20 Bi 0.3366 0.5140 0.6849
21 O 0.2994 0.3412 0.4136
22 O 0.7089 0.0316 0.0871
23 O 0.9145 0.4579 0.5431
24 Bi 0.8482 0.3491 0.3401
25 Bi 0.2205 0.2594 0.9036
26 Bi 0.5080 0.3233 0.0145
27 O 0.7104 0.6707 0.5930
28 O 0.0419 0.7006 0.4136
29 O 0.8752 0.1253 0.8726
30 O 0.2096 0.7908 0.2108
31 Bi 0.1451 0.1539 0.3256
32 O 0.2501 0.1248 0.8726
33 Bi 0.1697 0.4867 0.0150
34 Bi 0.3170 0.8303 0.0150
35 O 0.3227 0.2911 0.0871
36 O 0.8747 0.7499 0.8726
37 O 0.0489 0.3313 0.9291
38 O 0.5160 0.2568 0.7419
39 O 0.7409 0.4840 0.7419
40 O 0.8495 0.9252 0.0753
41 Bi 0.6185 0.7292 0.4252
42 O 0.3828 0.8789 0.7418
43 Bi 0.4436 0.0524 0.7460
44 O 0.5812 0.7904 0.2108
45 O 0.0757 0.1505 0.0753
46 Bi 0.9496 0.2149 0.0823
47 O 0.4960 0.6172 0.7418
48 O 0.2824 0.9511 0.9291
49 Bi 0.2653 0.0504 0.0823
50 Bi 0.4860 0.8226 0.6849
51 Bi 0.2708 0.8893 0.4252
52 O 0.6667 0.3333 0.0396
53 Bi 0.9049 0.6096 0.5616
54 Bi 0.0088 0.8549 0.3256
55 O 0.4088 0.5899 0.4089
56 Bi 0.8154 0.4920 0.0145
57 O 0.4494 0.1670 0.0815
58 Bi 0.0660 0.6311 0.2234
59 O 0.5434 0.0855 0.5431
60 O 0.7176 0.5506 0.0815
61 O 0.5421 0.4566 0.5431
62 O 0.5094 0.3785 0.2461
63 O 0.3752 0.9953 0.2643
64 Bi 0.3904 0.2953 0.5616
65 Bi 0.7047 0.0951 0.5616
66 O 0.1769 0.7101 0.9191
67 O 0.0047 0.3798 0.2643
68 O 0.8690 0.4906 0.2461
69 O 0.6215 0.1310 0.2461
70 Bi 0.0388 0.7795 0.9036
71 Bi 0.6509 0.4991 0.3401
72 O 0.9684 0.6773 0.0871
73 Bi 0.7851 0.7347 0.0823
74 O 0.0748 0.9243 0.0753
75 O 0.9985 0.6336 0.7506
76 O 0.5332 0.8231 0.9191
77 Bi 0.5009 0.1518 0.3401
78 Bi 0.5133 0.6830 0.0150
79 Bi 0.5651 0.9340 0.2234
80 Zn 0.0000 0.0000 0.9997
81 Bi 0.1655 0.0184 0.6782
82 O 0.8401 0.0386 0.5748
83 O 0.8330 0.2824 0.0815
84 O 0.9614 0.8015 0.5748
85 Bi 0.7406 0.9612 0.9036
86 Bi 0.8461 0.9912 0.3256
87 O 0.4101 0.8189 0.4089
88 O 0.2092 0.4188 0.2108
89 O 0.0000 0.0000 0.3751
90 O 0.6351 0.0015 0.7506
91 O 0.6667 0.3333 0.4358
92 Bi 0.8529 0.8345 0.6782
93 O 0.7895 0.8358 0.4004
94 O 0.3333 0.6667 0.1100
95 O 0.7432 0.2591 0.7419
96 Bi 0.1107 0.3815 0.4252
97 O 0.2899 0.4668 0.9191
98 Bi 0.1774 0.6634 0.6849
99 Bi 0.6767 0.1846 0.0145

Calculated density in g/cm3: 8.84

***

--- b ---
# ZnBi38O60

An optimized crystal structure of ZnBi38O60 (PBE, Materials Project).

Cell lengths 8.9959, 8.9959, 53.9175 Å; angles 109.48, 109.43, 109.55 degrees
Fractional coordinates of all 198 atoms:
1 O 0.0068 0.7782 0.3350
2 Bi 0.1761 0.5192 0.8874
3 Bi 0.6916 0.8209 0.9216
4 Bi 0.8639 0.6947 0.0311
5 O 0.9987 0.9977 0.1286
6 O 0.7752 0.0021 0.3346
7 Bi 0.4990 0.6608 0.8012
8 O 0.3862 0.7599 0.2742
9 O 0.3701 0.9997 0.5000
10 Bi 0.1971 0.8577 0.7833
11 Bi 0.8060 0.5002 0.7769
12 O 0.8814 0.2398 0.1028
13 Bi 0.8138 0.5079 0.1129
14 Bi 0.1590 0.4745 0.2153
15 Bi 0.3356 0.8363 0.5239
16 Bi 0.6902 0.1856 0.1433
17 O 0.7556 0.6397 0.7298
18 O 0.9996 0.9997 0.5616
19 O 0.7398 0.3603 0.5194
20 O 0.0035 0.0028 0.4608
21 Bi 0.4887 0.3022 0.1931
22 O 0.2383 0.2390 0.7059
23 Bi 0.4946 0.3088 0.0288
24 Bi 0.4997 0.3067 0.5272
25 O 0.0019 0.7632 0.5005
26 O 0.7682 0.9968 0.8317
27 Bi 0.8635 0.6904 0.1973
28 Bi 0.3110 0.8293 0.1879
29 O 0.8840 0.2359 0.9375
30 O 0.2603 0.3789 0.2696
31 Bi 0.1382 0.3372 0.3049
32 O 0.3818 0.7607 0.4407
33 Bi 0.6962 0.1955 0.8095
34 O 0.6369 0.3753 0.9599
35 O 0.9996 0.9996 0.0627
36 Bi 0.1449 0.3441 0.8078
37 O 0.6269 0.6266 0.7711
38 O 0.8849 0.2431 0.7705
39 Bi 0.1436 0.3300 0.9736
40 O 0.9973 0.3718 0.8331
41 Bi 0.8534 0.6916 0.3654
42 O 0.0057 0.7747 0.1675
43 O 0.8846 0.2450 0.4375
44 O 0.0004 0.3706 0.5001
45 Bi 0.3505 0.8394 0.8594
46 O 0.3770 0.6212 0.5434
47 Bi 0.8076 0.5003 0.6107
48 O 0.7556 0.6391 0.5631
49 O 0.7614 0.6428 0.8971
50 Bi 0.5067 0.6797 0.9694
51 O 0.1153 0.7399 0.3934
52 O 0.6258 0.8847 0.3744
53 O 0.2416 0.6244 0.3142
54 O 0.3764 0.7587 0.1068
55 O 0.7621 0.0007 0.5001
56 Bi 0.8307 0.1366 0.0538
57 O 0.7589 0.6410 0.0628
58 O 0.8803 0.2477 0.2701
59 O 0.6499 0.3903 0.2938
60 O 0.2607 0.3766 0.4368
61 O 0.6159 0.8775 0.2068
62 O 0.3715 0.9997 0.8330
63 O 0.2312 0.2301 0.8710
64 O 0.3730 0.9984 0.3335
65 O 0.6233 0.2648 0.0639
66 O 0.1193 0.7379 0.2273
67 O 0.3780 0.6284 0.8767
68 Bi 0.1918 0.8563 0.6154
69 O 0.3793 0.6189 0.3773
70 O 0.6237 0.6237 0.1040
71 O 0.6292 0.6296 0.4384
72 O 0.2608 0.3773 0.6036
73 O 0.1167 0.7378 0.7260
74 O 0.6202 0.2598 0.7292
75 O 0.9976 0.9967 0.7952
76 O 0.3752 0.6116 0.2094
77 Bi 0.8255 0.1246 0.2177
78 O 0.0006 0.3780 0.0002
79 O 0.8835 0.2443 0.6039
80 Bi 0.6644 0.8075 0.5834
81 O 0.3600 0.1184 0.1228
82 O 0.2642 0.3822 0.1039
83 Bi 0.3261 0.8307 0.0234
84 Bi 0.5077 0.3088 0.8618
85 O 0.3762 0.6205 0.7101
86 O 0.6220 0.6214 0.9372
87 O 0.9924 0.7673 0.9991
88 O 0.3698 0.9995 0.6665
89 Bi 0.4988 0.3065 0.6937
90 O 0.9945 0.7675 0.8321
91 Bi 0.8380 0.1440 0.7232
92 Bi 0.3049 0.1609 0.4166
93 O 0.0005 0.0008 0.8946
94 O 0.6230 0.8833 0.5407
95 O 0.3739 0.7553 0.9393
96 O 0.2440 0.6235 0.6473
97 O 0.1180 0.7358 0.0599
98 O 0.6272 0.8868 0.8728
99 O 0.7349 0.3579 0.1862
100 O 0.2650 0.3802 0.9374
101 O 0.6300 0.6300 0.6051
102 Bi 0.1579 0.4974 0.3834
103 O 0.6437 0.3782 0.1270
104 Bi 0.8551 0.6993 0.8663
105 Bi 0.6614 0.8062 0.4165
106 O 0.0015 0.3733 0.3336
107 Bi 0.8187 0.5195 0.9490
108 Bi 0.3073 0.1642 0.5833
109 O 0.3553 0.1157 0.7894
110 Bi 0.6927 0.1919 0.4760
111 Bi 0.1848 0.8630 0.1153
112 O 0.3774 0.9999 0.0002
113 O 0.2612 0.3774 0.7697
114 O 0.2390 0.2395 0.5399
115 Bi 0.1712 0.4930 0.0514
116 O 0.2407 0.6177 0.9805
117 O 0.2441 0.6236 0.4806
118 O 0.3602 0.1159 0.4566
119 Bi 0.6829 0.1939 0.3072
120 Bi 0.3360 0.8368 0.6907
121 O 0.3609 0.1167 0.6233
122 O 0.6111 0.2592 0.2292
123 Bi 0.1827 0.8673 0.9514
124 O 0.7589 0.6428 0.3969
125 O 0.7391 0.3579 0.3522
126 O 0.7730 0.9980 0.1676
127 O 0.7372 0.3588 0.0201
128 O 0.2444 0.6256 0.8144
129 Bi 0.4974 0.2982 0.3589
130 O 0.9953 0.9904 0.9614
131 O 0.0004 0.9999 0.6268
132 O 0.3796 0.7549 0.7733
133 Bi 0.8049 0.4990 0.4435
134 Zn 0.9971 0.9964 0.1660
135 O 0.1147 0.7410 0.8925
136 O 0.7397 0.3602 0.6860
137 Bi 0.6612 0.8052 0.7501
138 O 0.3551 0.1187 0.9572
139 Bi 0.8428 0.1559 0.8917
140 Bi 0.0008 0.0006 0.5001
141 Bi 0.2913 0.1620 0.2451
142 O 0.9995 0.3699 0.6666
143 Bi 0.1433 0.3363 0.6394
144 O 0.9999 0.0003 0.3956
145 Bi 0.1359 0.3217 0.1379
146 O 0.6331 0.6327 0.2720
147 O 0.6268 0.2594 0.8965
148 O 0.9990 0.9987 0.7282
149 Bi 0.1625 0.4993 0.7179
150 O 0.3767 0.9992 0.1664
151 Bi 0.6926 0.1919 0.6427
152 O 0.2262 0.2272 0.0381
153 Bi 0.5082 0.6773 0.1356
154 O 0.6402 0.3792 0.4595
155 O 0.6222 0.8832 0.7072
156 Bi 0.3388 0.8395 0.3572
157 Bi 0.7019 0.1837 0.9788
158 O 0.6199 0.2617 0.3961
159 O 0.2256 0.2265 0.3715
160 Bi 0.3032 0.1692 0.0814
161 O 0.9981 0.9986 0.2294
162 Bi 0.8566 0.6919 0.6987
163 O 0.0038 0.0049 0.2956
164 Bi 0.0000 0.0002 0.6666
165 Bi 0.3203 0.1714 0.9193
166 Bi 0.8566 0.6920 0.5319
167 O 0.1164 0.7394 0.5602
168 Bi 0.1946 0.8515 0.2792
169 O 0.0001 0.7615 0.6666
170 O 0.7696 0.0006 0.9991
171 O 0.7393 0.3565 0.8525
172 O 0.7557 0.6404 0.2292
173 O 0.7602 0.9989 0.6662
174 Bi 0.8361 0.1434 0.5560
175 Bi 0.3071 0.1624 0.7502
176 Bi 0.4996 0.6644 0.4680
177 Bi 0.1641 0.4996 0.5513
178 Bi 0.1442 0.3366 0.4730
179 Bi 0.9976 0.9981 0.3326
180 O 0.3685 0.1180 0.2900
181 Bi 0.8390 0.1448 0.3898
182 Bi 0.6555 0.8044 0.2473
183 O 0.3816 0.6232 0.0439
184 O 0.6382 0.3793 0.7922
185 Bi 0.6809 0.8149 0.0853
186 O 0.6392 0.3789 0.6260
187 Bi 0.1916 0.8548 0.4487
188 Bi 0.0026 0.0020 0.8341
189 O 0.6212 0.2603 0.5628
190 Bi 0.8056 0.4926 0.2750
191 O 0.3785 0.7555 0.6065
192 O 0.2222 0.2271 0.2053
193 Bi 0.5015 0.6573 0.3004
194 O 0.9985 0.3760 0.1664
195 Zn 0.0002 0.0008 0.0006
196 O 0.6163 0.8817 0.0397
197 Bi 0.5007 0.6653 0.6348
198 O 0.2382 0.6165 0.1466

Calculated density in g/cm3: 8.87

***

Most stable one: a, least stable one: b.

***

--- a ---
# ZnBi4O8

An optimized crystal structure of ZnBi4O8 (PBE, Materials Project).

Cell lengths 3.4566, 7.8456, 9.1373 Å; angles 100.18, 98.06, 100.04 degrees
Fractional coordinates of all 13 atoms:
1 O 0.2507 0.3649 0.9702
2 O 0.8401 0.1083 0.7013
3 Bi 0.3451 0.2310 0.4427
4 O 0.6136 0.4464 0.7230
5 O 0.8359 0.6869 0.0024
6 Bi 0.8424 0.4717 0.1844
7 O 0.4417 0.5464 0.3421
8 Zn 0.4177 0.2029 0.7966
9 Bi 0.2331 0.5875 0.8566
10 O 0.7788 0.2189 0.2872
11 O 0.1981 0.9491 0.4349
12 Bi 0.6910 0.8379 0.5582
13 O 0.2401 0.7788 0.7242

Calculated density in g/cm3: 7.23

***

--- b ---
# ZnBi4O8

An optimized crystal structure of ZnBi4O8 (PBE, Materials Project).

Cell lengths 6.3422, 6.3422, 6.3422 Å; angles 68.73, 68.73, 68.73 degrees
Fractional coordinates of all 13 atoms:
1 Bi 0.5000 0.0000 0.5000
2 O 0.2605 0.7238 0.2605
3 O 0.7395 0.2762 0.7395
4 Bi 0.0000 0.5000 0.5000
5 Bi 0.0000 0.0000 0.0000
6 O 0.7238 0.2605 0.2605
7 O 0.7395 0.7395 0.2762
8 O 0.2605 0.2605 0.7238
9 O 0.2622 0.2622 0.2622
10 Zn 0.5000 0.5000 0.5000
11 O 0.2762 0.7395 0.7395
12 O 0.7378 0.7378 0.7378
13 Bi 0.5000 0.5000 0.0000

Calculated density in g/cm3: 8.00

***

Most stable one: a, least stable one: b.